DFT (PBE+U) results for crystalline Ba3NiIrRuO9 at its relaxed geometry.

```
30
Lattice="-1.851 -0.982 5.433 -1.060 -3.905 -4.187 12.318 -6.569 3.010" Properties=species:S:1:pos:R:3 pbc="T T T"
O 10.468 -7.020 3.898
Ir 8.762 -7.476 4.755
Ru 2.893 -5.180 0.050
Ba 3.494 -4.666 3.468
O -1.061 -4.436 0.357
O 1.141 -5.939 -0.684
O 2.497 -3.663 -1.265
Ba 5.913 -6.790 0.788
Ba 9.244 -4.930 2.259
Ru 6.514 -6.277 4.206
Ba 9.926 -8.930 1.768
O 9.050 -9.401 4.505
Ni 0.000 0.000 0.000
O 0.357 -2.055 -0.250
Ni 6.159 -3.285 1.505
O 5.481 -5.320 5.546
Ir 0.645 -3.981 -0.500
O 1.634 -4.120 1.266
O 8.266 -5.517 4.940
Ba 3.073 -1.639 0.751
Ba -0.519 -2.526 2.487
O 9.566 -7.498 6.545
O 3.925 -6.136 -1.291
O 7.772 -7.336 2.989
O 4.441 -4.234 0.748
O 3.024 -6.614 1.355
O -0.159 -3.958 -2.290
O 6.910 -7.794 5.520
O 6.383 -4.842 2.901
O 4.965 -7.222 3.507
```

Results
Uncorrected energy = -194.20 eV for the cell shown
Symmetry = P-3m1, No. 164


DFT (PBE+U) results for crystalline RbCr3O8 at its relaxed geometry.

```
24
Lattice="-1.169 -0.922 5.041 -3.863 15.672 3.195 -5.033 -1.067 1.077" Properties=species:S:1:pos:R:3 pbc="T T T"
Cr -7.186 12.040 6.566
O -6.472 9.433 4.029
Cr -2.879 1.644 2.747
Cr -4.810 9.480 4.344
O -2.606 1.669 4.417
Cr -5.255 4.203 4.969
O -5.527 4.178 3.299
O -7.846 13.403 7.160
O -5.915 5.567 5.563
O -4.538 9.505 6.014
Cr -2.897 11.754 2.396
O -4.142 10.828 3.644
O -5.524 12.087 6.881
O -7.854 10.691 7.267
Cr -5.999 2.852 1.876
O -4.541 1.597 2.432
O -2.219 0.280 2.153
Rb -1.931 7.836 1.597
O -3.593 4.251 5.284
O -7.459 12.014 4.896
O -2.211 2.993 2.046
O -5.923 2.855 5.669
Rb 0.000 0.000 0.000
O -4.150 8.116 3.750
```

Results
Uncorrected energy = -162.83 eV for the cell shown


DFT (PBE+U) results for crystalline Li3Mn4B4O12 at its relaxed geometry.

```
46
Lattice="6.173 0.000 0.000 2.037 8.820 0.000 1.077 1.059 9.218" Properties=species:S:1:pos:R:3 pbc="T T T"
Mn 4.359 4.142 2.102
O 6.182 5.087 5.559
B 5.688 3.989 4.831
O 3.372 5.900 5.757
Mn 4.927 5.737 7.116
Li 5.428 7.128 2.191
O 3.497 1.326 3.465
O 0.776 0.838 5.894
Mn 1.539 0.485 0.312
Li 3.105 3.008 4.535
B 3.599 5.890 4.387
O 4.879 7.637 7.808
Mn 5.206 1.031 4.772
O 2.051 2.844 6.140
B 1.225 1.891 6.698
Li 5.725 2.495 0.023
Li 6.182 6.871 4.683
O 7.894 7.371 8.451
Li 3.562 7.383 9.195
Mn 7.440 5.022 2.491
B 2.228 3.416 0.198
O 4.408 2.242 1.410
B 5.519 8.636 7.135
O 2.231 7.942 1.166
O 2.672 4.543 0.943
B 8.062 7.988 2.520
B 3.768 1.243 2.083
O 3.873 0.972 7.828
O 3.105 4.792 3.659
O 8.511 9.041 3.325
O 1.393 2.508 0.767
O 5.414 8.907 1.390
B 7.059 6.463 9.020
O 4.944 3.007 5.442
O 5.790 8.553 5.753
Mn 7.748 9.393 8.906
O 7.056 1.937 8.052
O 5.914 3.979 3.461
O 7.236 7.035 3.078
Li 3.859 2.751 7.027
Mn 1.847 4.857 6.727
O 3.635 4.418 8.063
O 6.615 5.336 8.275
O 5.651 5.461 1.155
O 4.342 6.872 3.776
Mn 4.081 8.848 4.446
```

Results
Uncorrected energy = -340.38 eV for the cell shown
Symmetry = P-1, No. 2